(1)
A relaxed structure of CaB2O10. Source: the Materials Project database, functional PBE-GGA.

Output
Total magnetization ... 0.462 μB per atom
E (MP2020) ... -5.89 eV/atom
Formation energy ... -87.4 kJ/mol of atoms

Cell lengths 7.4429, 7.4429, 8.7675 Å; angles 89.38, 89.38, 45.45 degrees
Closest atoms and distances in Å follow each position.
Sites, in units of the cell vectors:
Ca  0.1408  0.8592  0.7500  6 O 2.39-2.58
Ca  0.8592  0.1408  0.2500  6 O 2.39-2.58
B  0.7671  0.4209  0.5865  4 O 1.41-1.47
B  0.5791  0.2329  0.9135  4 O 1.41-1.47
B  0.2329  0.5791  0.4135  4 O 1.41-1.47
B  0.4209  0.7671  0.0865  4 O 1.41-1.47
O  0.7514  0.2387  0.5541  1 B 1.47
O  0.7613  0.2486  0.9459  1 B 1.47
O  0.2486  0.7613  0.4459  1 B 1.47
O  0.2387  0.7514  0.0541  1 B 1.47
O  0.9855  0.2729  0.6830  1 B 1.44
O  0.7271  0.0145  0.8170  1 B 1.44
O  0.0145  0.7271  0.3170  1 B 1.44
O  0.2729  0.9855  0.1830  1 B 1.44
O  0.8705  0.3969  0.4383  1 B 1.45
O  0.6031  0.1295  0.0617  1 B 1.45
O  0.1295  0.6031  0.5617  1 B 1.45
O  0.3969  0.8705  0.9383  1 B 1.45
O  0.5420  0.6550  0.6440  1 B 1.41
O  0.3450  0.4580  0.8560  1 B 1.41
O  0.4580  0.3450  0.3560  1 B 1.41
O  0.6550  0.5420  0.1440  1 B 1.41
O  0.9853  0.4946  0.0666  1 O 1.20
O  0.5054  0.0147  0.4334  1 O 1.20
O  0.0147  0.5054  0.9334  1 O 1.20
O  0.4946  0.9853  0.5666  1 O 1.20

---

(2)
A relaxed structure of CaB2O10. Source: the Materials Project database, functional PBE-GGA.

Output
Total magnetization ... 0.000 μB per atom
Formation energy ... -94.6 kJ/mol of atoms

Cell lengths 5.7258, 8.9734, 6.1058 Å; angles 98.14, 90.00, 90.00 degrees
Closest atoms and distances in Å follow each position.
Sites, in units of the cell vectors:
Ca  0.1355  0.7500  0.0000  2 O 2.33
Ca  0.8645  0.2500  0.0000  2 O 2.33
B  0.6590  0.5647  0.2631  4 O 1.43-1.47
B  0.6590  0.9353  0.7369  4 O 1.43-1.47
B  0.3410  0.4353  0.7369  4 O 1.43-1.47
B  0.3410  0.0647  0.2631  4 O 1.43-1.47
O  0.7456  0.5480  0.0343  1 B 1.47, 1 O 1.56
O  0.7456  0.9520  0.9657  1 B 1.47, 1 O 1.56
O  0.2544  0.4520  0.9657  1 B 1.47, 1 O 1.56
O  0.2544  0.0480  0.0343  1 B 1.47, 1 O 1.56
O  0.8346  0.6744  0.2170  1 B 1.46, 1 O 1.56
O  0.8346  0.8256  0.7830  1 B 1.46, 1 O 1.56
O  0.1654  0.3256  0.7830  1 B 1.46, 1 O 1.56
O  0.1654  0.1744  0.2170  1 B 1.46, 1 O 1.56
O  0.7298  0.4335  0.3556  1 B 1.43, 1 O 1.48
O  0.7298  0.0665  0.6444  1 B 1.43, 1 O 1.48
O  0.2702  0.5665  0.6444  1 B 1.43, 1 O 1.48
O  0.2702  0.9335  0.3556  1 B 1.43, 1 O 1.48
O  0.4303  0.6308  0.3114  1 O 1.44, 1 B 1.45
O  0.4303  0.8692  0.6886  1 O 1.44, 1 B 1.45
O  0.5697  0.3692  0.6886  1 O 1.44, 1 B 1.45
O  0.5697  0.1308  0.3114  1 O 1.44, 1 B 1.45
O  0.7276  0.0301  0.3999  2 O 1.44-1.48
O  0.7276  0.4699  0.6001  2 O 1.44-1.48
O  0.2724  0.9699  0.6001  2 O 1.44-1.48
O  0.2724  0.5301  0.3999  2 O 1.44-1.48

---

(3)
A relaxed structure of CaB3O10. Source: the Materials Project database, functional PBE-GGA.

Output
Total magnetization ... 0.357 μB per atom
E (MP2020) ... -6.72 eV/atom
Formation energy ... -155.6 kJ/mol of atoms

Cell lengths 6.2987, 8.0352, 9.4886 Å; angles 96.82, 101.05, 107.04 degrees
Closest atoms and distances in Å follow each position.
Sites, in units of the cell vectors:
Ca  0.3394  0.2816  0.3919  4 O 2.24-2.39
Ca  0.6606  0.7184  0.6081  4 O 2.24-2.39
B  0.3768  0.2072  0.9212  3 O 1.38
B  0.6232  0.7928  0.0788  3 O 1.38
B  0.4506  0.3078  0.7034  3 O 1.34-1.41
B  0.5494  0.6922  0.2966  3 O 1.34-1.41
B  0.2842  0.9791  0.6967  4 O 1.44-1.47
B  0.7158  0.0209  0.3033  4 O 1.44-1.47
O  0.4801  0.3424  0.8547  2 B 1.38-1.39
O  0.5199  0.6576  0.1453  2 B 1.38-1.39
O  0.3121  0.0323  0.8542  2 B 1.38-1.47
O  0.6879  0.9677  0.1458  2 B 1.38-1.47
O  0.3385  0.1333  0.6242  2 B 1.41-1.47
O  0.6615  0.8667  0.3758  2 B 1.41-1.47
O  0.3272  0.2500  0.0531  1 B 1.38
O  0.6728  0.7500  0.9469  1 B 1.38
O  0.8924  0.2235  0.7386  1 O 1.23
O  0.1076  0.7765  0.2614  1 O 1.23
O  0.5173  0.4345  0.6264  1 B 1.34
O  0.4827  0.5655  0.3736  1 B 1.34
O  0.4100  0.8613  0.6656  1 B 1.44
O  0.5900  0.1387  0.3344  1 B 1.44
O  0.0620  0.8490  0.6331  1 B 1.44
O  0.9380  0.1510  0.3669  1 B 1.44
O  0.0405  0.0594  0.0535  1 O 1.22
O  0.9595  0.9406  0.9465  1 O 1.22
O  0.9837  0.3631  0.7001  1 O 1.23
O  0.0163  0.6369  0.2999  1 O 1.23

---

(4)
A relaxed structure of CaB2O10. Source: the Materials Project database, functional PBE-GGA.

Output
Total magnetization ... 0.462 μB per atom
E (MP2020) ... -6.11 eV/atom
Formation energy ... -107.9 kJ/mol of atoms

Cell lengths 12.3938, 7.0238, 10.6192 Å; angles 90.00, 110.55, 90.00 degrees
Closest atoms and distances in Å follow each position.
Sites, in units of the cell vectors:
Ca  0.0000  0.0427  0.7500  4 O 2.22-2.31
Ca  0.0000  0.9573  0.2500  4 O 2.22-2.31
B  0.0989  0.7464  0.5569  3 O 1.34-1.37
B  0.9011  0.7464  0.9431  3 O 1.34-1.37
B  0.9011  0.2536  0.4431  3 O 1.34-1.37
B  0.0989  0.2536  0.0569  3 O 1.34-1.37
O  0.8521  0.7498  0.5252  1 O 1.22
O  0.1479  0.7498  0.9748  1 O 1.22
O  0.1479  0.2502  0.4748  1 O 1.22
O  0.8521  0.2502  0.0252  1 O 1.22
O  0.1141  0.8638  0.6642  1 B 1.36
O  0.8859  0.8638  0.8358  1 B 1.36
O  0.8859  0.1362  0.3358  1 B 1.36
O  0.1141  0.1362  0.1642  1 B 1.36
O  0.0987  0.7999  0.4360  1 B 1.34
O  0.9013  0.7999  0.0640  1 B 1.34
O  0.9013  0.2001  0.5639  1 B 1.34
O  0.0987  0.2001  0.9360  1 B 1.34
O  0.0809  0.5654  0.5934  1 B 1.37
O  0.9191  0.5654  0.9066  1 B 1.37
O  0.9191  0.4346  0.4066  1 B 1.37
O  0.0809  0.4346  0.0934  1 B 1.37
O  0.2325  0.8055  0.0673  1 O 1.22
O  0.7675  0.8055  0.4327  1 O 1.22
O  0.7675  0.1945  0.9327  1 O 1.22
O  0.2325  0.1945  0.5673  1 O 1.22

---

Question: What is the total magnetization in the second record?
Answer: 0.000 μB per atom